SrMgSi GGA-PBE optimized geometry; calculated volume = 306.73 Å³ per cell; formation energy from the elements = -370 meV per atom
1.0
7.823 0.000 0.000
0.000 4.596 0.000
0.000 0.000 8.531
Sr Mg Si
4 4 4
direct
0.015 0.250 0.183 Sr
0.485 0.750 0.683 Sr
0.515 0.250 0.317 Sr
0.985 0.750 0.817 Sr
0.143 0.250 0.564 Mg
0.357 0.750 0.064 Mg
0.643 0.250 0.936 Mg
0.857 0.750 0.436 Mg
0.219 0.750 0.390 Si
0.281 0.250 0.890 Si
0.719 0.750 0.110 Si
0.781 0.250 0.610 Si

Sr11Mg2Si10 GGA-PBE optimized geometry; calculated volume = 648.36 Å³ per cell; formation energy from the elements = -396 meV per atom
1.0
9.869 -2.381 0.000
9.869 2.381 0.000
-5.630 0.000 13.798
Sr Mg Si
11 2 10
direct
0.000 0.000 0.000 Sr
0.071 0.071 0.441 Sr
0.144 0.144 0.717 Sr
0.294 0.294 0.622 Sr
0.343 0.343 0.896 Sr
0.483 0.483 0.196 Sr
0.517 0.517 0.804 Sr
0.657 0.657 0.104 Sr
0.706 0.706 0.378 Sr
0.856 0.856 0.283 Sr
0.929 0.929 0.559 Sr
0.280 0.280 0.083 Mg
0.720 0.720 0.917 Mg
0.111 0.111 0.236 Si
0.143 0.143 0.930 Si
0.240 0.240 0.253 Si
0.331 0.331 0.421 Si
0.454 0.454 0.416 Si
0.546 0.546 0.584 Si
0.669 0.669 0.579 Si
0.760 0.760 0.747 Si
0.857 0.857 0.070 Si
0.889 0.889 0.764 Si

SrMgSi2 GGA-PBE optimized geometry; calculated volume = 732.41 Å³ per cell; formation energy from the elements = -315 meV per atom
1.0
14.413 0.000 0.000
0.000 4.438 0.000
0.000 0.000 11.450
Sr Mg Si
8 8 16
direct
0.062 0.250 0.241 Sr
0.196 0.750 0.977 Sr
0.304 0.250 0.477 Sr
0.438 0.750 0.741 Sr
0.562 0.250 0.259 Sr
0.696 0.750 0.523 Sr
0.804 0.250 0.023 Sr
0.938 0.750 0.759 Sr
0.060 0.250 0.558 Mg
0.190 0.750 0.680 Mg
0.310 0.250 0.180 Mg
0.440 0.750 0.058 Mg
0.560 0.250 0.942 Mg
0.690 0.750 0.820 Mg
0.810 0.250 0.320 Mg
0.940 0.750 0.442 Mg
0.033 0.250 0.972 Si
0.107 0.250 0.788 Si
0.132 0.750 0.452 Si
0.223 0.750 0.274 Si
0.277 0.250 0.774 Si
0.368 0.250 0.952 Si
0.393 0.750 0.288 Si
0.467 0.750 0.472 Si
0.533 0.250 0.528 Si
0.607 0.250 0.712 Si
0.632 0.750 0.048 Si
0.723 0.750 0.226 Si
0.777 0.250 0.726 Si
0.868 0.250 0.548 Si
0.893 0.750 0.212 Si
0.967 0.750 0.028 Si

Q: What is the formula in the second record?
A: Sr11Mg2Si10

Q: What is the formula in the first record?
A: SrMgSi

Q: Among the records above, which one has the lowest formation energy from the elements?
A: Sr11Mg2Si10